No. 1
# PmSmRh2 r2SCAN relaxed
data_PmSmRh2
_chemical_formula_sum 'Pm1 Sm1 Rh2'
_cell_length_a 4.936
_cell_length_b 4.936
_cell_length_c 4.936
_cell_angle_alpha 60.00
_cell_angle_beta 60.00
_cell_angle_gamma 60.00
_symmetry_space_group_name_H-M 'P 1'
_symmetry_Int_Tables_number 1
loop_
_symmetry_equiv_pos_as_xyz
'x,y,z'
loop_
_atom_site_label
_atom_site_fract_x
_atom_site_fract_y
_atom_site_fract_z
_atom_site_occupancy
Pm1 0.000 0.000 0.000 1
Sm1 0.500 0.500 0.500 1
Rh1 0.250 0.250 0.250 1
Rh2 0.750 0.750 0.750 1
# **E**: -27.64 eV/atom
# **Magnetic moment**: 0.00 μB/f.u.
# **Space group**: No. 225
# **Energy of formation from the pure elements**: -0.7503 eV/atom

---

No. 2
# PmSnRh2 r2SCAN relaxed
data_PmSnRh2
_chemical_formula_sum 'Pm1 Sn1 Rh2'
_cell_length_a 4.748
_cell_length_b 4.748
_cell_length_c 4.748
_cell_angle_alpha 60.00
_cell_angle_beta 60.00
_cell_angle_gamma 60.00
_symmetry_space_group_name_H-M 'P 1'
_symmetry_Int_Tables_number 1
loop_
_symmetry_equiv_pos_as_xyz
'x,y,z'
loop_
_atom_site_label
_atom_site_fract_x
_atom_site_fract_y
_atom_site_fract_z
_atom_site_occupancy
Pm1 0.000 0.000 0.000 1
Sn1 0.500 0.500 0.500 1
Rh1 0.250 0.250 0.250 1
Rh2 0.750 0.750 0.750 1
# **E**: -26.35 eV/atom
# **Magnetic moment**: 0.77 μB/f.u.
# **Space group**: No. 225
# **Energy of formation from the pure elements**: -0.7148 eV/atom